Entry 1:
CsHoMo2O8: optimized geometry, PBE with a Hubbard U.

Unit cell a=7.5823 b=7.5823 c=7.7698 alpha=117.91 beta=117.91 gamma=88.72
With the nearest neighbours (Å) after each atom.
Atoms (fractional coordinates):
Cs 0.1970 0.8030 0.7500  10 O 2.90-3.20
Cs 0.8030 0.1970 0.2500  10 O 2.90-3.20
Ho 0.2294 0.7706 0.2500  6 O 2.30-2.38
Ho 0.7706 0.2294 0.7500  6 O 2.30-2.38
Mo 0.3035 0.3068 0.2664  3 O 1.78-1.85
Mo 0.3068 0.3035 0.7664  3 O 1.78-1.85
Mo 0.6932 0.6965 0.2336  3 O 1.78-1.85
Mo 0.6965 0.6932 0.7336  3 O 1.78-1.85
O 0.0506 0.2120 0.6988  1 Mo 1.81
O 0.0677 0.3814 0.1228  1 Mo 1.85
O 0.2120 0.0506 0.1988  1 Mo 1.81
O 0.2411 0.3830 0.5658  1 Mo 1.78
O 0.3685 0.5857 0.0338  2 Mo 2.02-2.11
O 0.3814 0.0677 0.6228  1 Mo 1.85
O 0.3830 0.2411 0.0658  1 Mo 1.78
O 0.4143 0.6315 0.4662  2 Mo 2.02-2.11
O 0.5857 0.3685 0.5338  2 Mo 2.02-2.11
O 0.6170 0.7589 0.9342  1 Mo 1.78
O 0.6186 0.9323 0.3772  1 Mo 1.85
O 0.6315 0.4143 0.9662  2 Mo 2.02-2.11
O 0.7589 0.6170 0.4342  1 Mo 1.78
O 0.7880 0.9494 0.8012  1 Mo 1.81
O 0.9323 0.6186 0.8772  1 Mo 1.85
O 0.9494 0.7880 0.3012  1 Mo 1.81

Density   6.1 Mg/m³
Electronic total energy   -169.69 eV for the cell shown
ΔE_f   -2.50 eV/atom
Total moment   0.00 μB per formula unit

Entry 2:
Mn3H2Se3O10: optimized geometry, PBE with a Hubbard U.

Unit cell a=8.4616 b=8.4626 c=9.1287 alpha=65.63 beta=68.89 gamma=68.02
With the nearest neighbours (Å) after each atom.
Atoms (fractional coordinates):
Mn 0.0000 0.0000 0.0000  6 O 2.14-2.31
Mn 0.0362 0.6574 0.7995  6 O 2.19-2.28
Mn 0.1720 0.3030 0.5776  4 O 2.10-2.24
Mn 0.5000 0.5000 0.5000  6 O 2.17-2.26
Mn 0.8280 0.6970 0.4224  4 O 2.10-2.24
Mn 0.9638 0.3426 0.2005  6 O 2.19-2.28
H 0.1265 0.9692 0.3020  1 O 0.98
H 0.1904 0.0466 0.3984  1 O 1.00
H 0.8096 0.9534 0.6016  1 O 1.00
H 0.8735 0.0308 0.6980  1 O 0.98
Se 0.2084 0.5749 0.2197  3 O 1.72-1.77
Se 0.3299 0.8373 0.6889  3 O 1.73-1.75
Se 0.3351 0.2186 0.8994  3 O 1.69-1.75
Se 0.6649 0.7814 0.1006  3 O 1.69-1.75
Se 0.6701 0.1627 0.3111  3 O 1.73-1.75
Se 0.7916 0.4251 0.7803  3 O 1.72-1.77
O 0.0557 0.4449 0.3354  1 Se 1.77
O 0.0633 0.7772 0.2410  1 Se 1.73
O 0.1454 0.0774 0.3001  2 H 0.98-1.00
O 0.1465 0.8179 0.8572  1 Se 1.75
O 0.1564 0.3872 0.9602  1 Se 1.75
O 0.2504 0.0465 0.9461  1 Se 1.69
O 0.2663 0.0472 0.5488  1 H 1.71, 1 Se 1.73
O 0.2942 0.7001 0.6119  1 Se 1.74
O 0.3193 0.4939 0.3724  1 Se 1.72
O 0.3586 0.3058 0.6844  1 Se 1.75
O 0.6414 0.6942 0.3156  1 Se 1.75
O 0.6807 0.5061 0.6276  1 Se 1.72
O 0.7058 0.2999 0.3881  1 Se 1.74
O 0.7337 0.9528 0.4512  1 H 1.71, 1 Se 1.73
O 0.7496 0.9535 0.0539  1 Se 1.69
O 0.8436 0.6128 0.0398  1 Se 1.75
O 0.8535 0.1821 0.1428  1 Se 1.75
O 0.8546 0.9226 0.6999  2 H 0.98-1.00
O 0.9367 0.2228 0.7590  1 Se 1.73
O 0.9443 0.5551 0.6646  1 Se 1.77

Density   3.5 Mg/m³
Electronic total energy   -222.15 eV for the cell shown
ΔE_f   -1.59 eV/atom
Total moment   15.00 μB per formula unit

Entry 3:
La2MgCo2O6: optimized geometry, PBE with a Hubbard U.

Unit cell a=5.8267 b=5.8480 c=6.2368 alpha=63.13 beta=89.78 gamma=60.30
With the nearest neighbours (Å) after each atom.
Atoms (fractional coordinates):
La 0.0000 0.0000 0.0000  6 O 2.39-2.51
La 0.4004 0.1923 0.2210  6 O 2.35-2.60
Mg 0.7699 0.4526 0.3338  3 O 1.94
Co 0.1871 0.6103 0.5964  6 O 2.12-2.32
Co 0.6041 0.7859 0.8257  3 O 1.84-1.91
O 0.0690 0.5099 0.3459  1 Mg 1.94, 1 Co 2.12
O 0.3379 0.6846 0.8591  1 Co 1.90
O 0.4130 0.7403 0.3412  1 Mg 1.94
O 0.5550 0.1036 0.8587  1 Co 1.84
O 0.8391 0.0870 0.3434  1 Mg 1.94
O 0.9663 0.4724 0.8615  1 Co 1.91

Density   5.4 Mg/m³
Electronic total energy   -75.63 eV for the cell shown
ΔE_f   -2.51 eV/atom
Relative energy among the computed polymorphs   59 meV/atom
Total moment   6.00 μB per formula unit

Entry 4:
V2AsO6: optimized geometry, PBE with a Hubbard U.

Unit cell a=4.8425 b=9.0347 c=9.6438 alpha=90.00 beta=90.00 gamma=90.00
With the nearest neighbours (Å) after each atom.
Atoms (fractional coordinates):
V 0.1026 0.1675 0.3910  6 O 1.94-2.15
V 0.1134 0.5061 0.4044  1 O 1.69
V 0.3866 0.4939 0.9044  1 O 1.69
V 0.3974 0.8325 0.8910  6 O 1.94-2.15
V 0.6026 0.3325 0.6090  6 O 1.94-2.15
V 0.6134 0.9939 0.5956  1 O 1.69
V 0.8866 0.0061 0.0956  1 O 1.69
V 0.8974 0.6675 0.1090  6 O 1.94-2.15
As 0.1138 0.1589 0.8090  4 O 1.70-1.75
As 0.3862 0.8411 0.3090  4 O 1.70-1.75
As 0.6138 0.3411 0.1910  4 O 1.70-1.75
As 0.8862 0.6589 0.6910  4 O 1.70-1.75
O 0.0822 0.1543 0.9846  1 As 1.70
O 0.0865 0.8380 0.0185  3 V 1.94-1.99
O 0.1046 0.5150 0.0063  1 V 1.69
O 0.2063 0.6624 0.7720  1 As 1.74
O 0.2120 0.6779 0.2661  1 As 1.75
O 0.2125 0.9987 0.2520  1 As 1.74
O 0.2875 0.0013 0.7520  1 As 1.74
O 0.2880 0.3221 0.7661  1 As 1.75
O 0.2937 0.3376 0.2720  1 As 1.74
O 0.3954 0.4850 0.5063  1 V 1.69
O 0.4135 0.1620 0.5185  3 V 1.94-1.99
O 0.4178 0.8457 0.4846  1 As 1.70
O 0.5822 0.3457 0.0154  1 As 1.70
O 0.5865 0.6620 0.9815  3 V 1.94-1.99
O 0.6046 0.9850 0.9937  1 V 1.69
O 0.7063 0.8376 0.2280  1 As 1.74
O 0.7125 0.5013 0.7480  1 As 1.74
O 0.7120 0.8221 0.7339  1 As 1.75
O 0.7880 0.1779 0.2339  1 As 1.75
O 0.7875 0.4987 0.2480  1 As 1.74
O 0.7937 0.1624 0.7280  1 As 1.74
O 0.8954 0.0150 0.4937  1 V 1.69
O 0.9135 0.3380 0.4815  3 V 1.94-1.99
O 0.9178 0.6543 0.5154  1 As 1.70

Density   4.3 Mg/m³
Electronic total energy   -259.24 eV for the cell shown
ΔE_f   -2.20 eV/atom

Entry 5:
Sr3MgV2O7: optimized geometry, PBE with a Hubbard U.

Unit cell a=3.9152 b=3.9152 c=12.0191 alpha=90.15 beta=90.15 gamma=90.25
With the nearest neighbours (Å) after each atom.
Atoms (fractional coordinates):
Sr 0.0000 0.0000 0.0000  8 O 2.60-2.82
Sr 0.0019 0.0019 0.2921  9 O 2.65-2.80
Sr 0.5068 0.5068 0.5146  1 O 2.26
Mg 0.5048 0.5048 0.7966  5 O 1.93-2.14
V 0.0061 0.0061 0.6817  5 O 1.92-2.03
V 0.5008 0.5008 0.1450  5 O 1.96-2.18
O 0.0004 0.4997 0.1434  2 V 1.96
O 0.0049 0.5064 0.7258  2 V 2.03, 2 Mg 2.13-2.14
O 0.0074 0.0074 0.5219  1 V 1.92
O 0.4997 0.0004 0.1434  2 V 1.96
O 0.5022 0.5022 0.3262  1 V 2.18, 1 Sr 2.26
O 0.5015 0.5015 0.9570  1 Mg 1.93
O 0.5064 0.0049 0.7258  2 V 2.03, 2 Mg 2.13-2.14

Density   4.5 Mg/m³
Electronic total energy   -88.00 eV for the cell shown
ΔE_f   -2.83 eV/atom
Relative energy among the computed polymorphs   0 meV/atom
Total moment   4.00 μB per formula unit

Entry 6:
LiFeHSO5: optimized geometry, PBE with a Hubbard U.

Unit cell a=9.8553 b=5.5642 c=7.5394 alpha=90.00 beta=110.50 gamma=90.00
With the nearest neighbours (Å) after each atom.
Atoms (fractional coordinates):
Li 0.0852 0.0628 0.3120  4 O 1.98-2.02
Li 0.0852 0.4372 0.8120  4 O 1.98-2.02
Li 0.9148 0.5628 0.1880  4 O 1.98-2.02
Li 0.9148 0.9372 0.6880  4 O 1.98-2.02
Fe 0.4448 0.2368 0.3735  6 O 2.10-2.29
Fe 0.4448 0.2632 0.8735  6 O 2.10-2.29
Fe 0.5552 0.7368 0.1265  6 O 2.10-2.29
Fe 0.5552 0.7632 0.6265  6 O 2.10-2.29
H 0.3323 0.0015 0.5932  1 O 0.99
H 0.3323 0.4985 0.0932  1 O 0.99
H 0.6677 0.5015 0.9068  1 O 0.99
H 0.6677 0.9985 0.4068  1 O 0.99
S 0.2111 0.5610 0.5074  4 O 1.48-1.51
S 0.2111 0.9390 0.0074  4 O 1.48-1.51
S 0.7889 0.0610 0.9926  4 O 1.48-1.51
S 0.7889 0.4390 0.4926  4 O 1.48-1.51
O 0.0969 0.0801 0.8624  1 S 1.49
O 0.0969 0.4199 0.3624  1 S 1.49
O 0.1644 0.6866 0.0090  1 S 1.48
O 0.1644 0.8134 0.5090  1 S 1.48
O 0.2399 0.0515 0.1971  1 S 1.49
O 0.2399 0.4485 0.6971  1 S 1.49
O 0.3492 0.5545 0.4636  1 S 1.51
O 0.3492 0.9455 0.9636  1 S 1.51
O 0.4297 0.0731 0.6273  1 H 0.99
O 0.4297 0.4269 0.1273  1 H 0.99
O 0.5703 0.5731 0.8727  1 H 0.99
O 0.5703 0.9269 0.3727  1 H 0.99
O 0.6508 0.0545 0.0364  1 S 1.51
O 0.6508 0.4455 0.5364  1 S 1.51
O 0.7601 0.5515 0.3029  1 S 1.49
O 0.7601 0.9485 0.8029  1 S 1.49
O 0.8356 0.1866 0.4910  1 S 1.48
O 0.8356 0.3134 0.9910  1 S 1.48
O 0.9031 0.5801 0.6376  1 S 1.49
O 0.9031 0.9199 0.1376  1 S 1.49

Density   3.0 Mg/m³
Electronic total energy   -216.78 eV for the cell shown
ΔE_f   -1.92 eV/atom

Entry 7:
CaFe8O12: optimized geometry, PBE with a Hubbard U.

Unit cell a=6.0216 b=5.2826 c=7.5328 alpha=90.00 beta=95.37 gamma=90.00
With the nearest neighbours (Å) after each atom.
Atoms (fractional coordinates):
Ca 0.0000 0.0000 0.0000  3 O 2.13-2.16
Fe 0.1719 0.9594 0.4155  3 O 1.97-2.18
Fe 0.2911 0.4700 0.5912  5 O 1.99-2.22
Fe 0.3017 0.4881 0.0920  4 O 1.93-2.13
Fe 0.4630 0.9786 0.7678  5 O 1.98-2.16
Fe 0.5370 0.9786 0.2322  5 O 1.98-2.16
Fe 0.6983 0.4881 0.9080  4 O 1.93-2.13
Fe 0.7089 0.4700 0.4088  5 O 1.99-2.22
Fe 0.8281 0.9594 0.5845  3 O 1.97-2.18
O 0.0000 0.4086 0.0000  2 Fe 1.93, 1 Ca 2.16
O 0.0000 0.6222 0.5000  4 Fe 1.99-2.18
O 0.1765 0.1271 0.6622  3 Fe 1.99-2.06
O 0.2393 0.8201 0.1838  3 Fe 1.94-1.98, 1 Ca 2.13
O 0.3536 0.6368 0.8360  4 Fe 2.01-2.24
O 0.3720 0.3022 0.3353  5 Fe 2.09-2.29
O 0.5000 0.1780 0.0000  4 Fe 2.04-2.18
O 0.5000 0.7776 0.5000  6 Fe 2.20-2.31
O 0.6280 0.3022 0.6647  5 Fe 2.09-2.29
O 0.6464 0.6368 0.1640  4 Fe 2.01-2.24
O 0.7607 0.8201 0.8162  3 Fe 1.94-1.98, 1 Ca 2.13
O 0.8235 0.1271 0.3378  3 Fe 1.99-2.06

Density   4.7 Mg/m³
Electronic total energy   -137.80 eV for the cell shown
ΔE_f   -1.66 eV/atom
Relative energy among the computed polymorphs   0 meV/atom
Total moment   38.00 μB per formula unit

Entry 8:
LiFe4P3O12: optimized geometry, PBE with a Hubbard U.

Unit cell a=7.6528 b=7.9044 c=9.6446 alpha=110.47 beta=110.68 gamma=94.96
With the nearest neighbours (Å) after each atom.
Atoms (fractional coordinates):
Li 0.1135 0.3484 0.0822  3 O 2.12-2.35
Li 0.8865 0.6516 0.9178  3 O 2.12-2.35
Fe 0.2102 0.9109 0.2142  5 O 2.03-2.22
Fe 0.2131 0.9638 0.5674  5 O 2.04-2.18
Fe 0.2249 0.5876 0.5773  4 O 1.98-2.17
Fe 0.4944 0.7123 0.0514  5 O 2.04-2.15
Fe 0.5056 0.2877 0.9486  5 O 2.04-2.15
Fe 0.7751 0.4124 0.4227  4 O 1.98-2.17
Fe 0.7869 0.0362 0.4326  5 O 2.04-2.18
Fe 0.7898 0.0891 0.7858  5 O 2.03-2.22
P 0.0943 0.3674 0.7573  4 O 1.55-1.57
P 0.1893 0.9487 0.8908  4 O 1.53-1.58
P 0.4855 0.2616 0.5758  4 O 1.52-1.58
P 0.5145 0.7384 0.4242  4 O 1.52-1.58
P 0.8107 0.0513 0.1092  4 O 1.53-1.58
P 0.9057 0.6326 0.2427  4 O 1.55-1.57
O 0.0275 0.6358 0.1442  1 P 1.55
O 0.0295 0.0826 0.1662  1 P 1.53
O 0.0295 0.4843 0.6546  1 P 1.57
O 0.0613 0.1628 0.6366  1 P 1.56
O 0.2474 0.8651 0.7436  1 P 1.58
O 0.2592 0.8432 0.0035  1 P 1.57
O 0.2943 0.1592 0.9860  1 P 1.56
O 0.3111 0.4526 0.8764  1 P 1.56
O 0.3116 0.0923 0.4502  1 P 1.56
O 0.3541 0.7448 0.4863  1 P 1.54
O 0.4252 0.4452 0.6056  1 P 1.52
O 0.4457 0.7746 0.2646  1 P 1.58
O 0.5543 0.2254 0.7354  1 P 1.58
O 0.5748 0.5548 0.3944  1 P 1.52
O 0.6459 0.2552 0.5137  1 P 1.54
O 0.6884 0.9077 0.5498  1 P 1.56
O 0.6889 0.5474 0.1236  1 P 1.56
O 0.7057 0.8408 0.0140  1 P 1.56
O 0.7408 0.1568 0.9965  1 P 1.57
O 0.7526 0.1349 0.2564  1 P 1.58
O 0.9387 0.8372 0.3634  1 P 1.56
O 0.9705 0.5157 0.3454  1 P 1.57
O 0.9705 0.9174 0.8338  1 P 1.53
O 0.9725 0.3641 0.8558  1 P 1.55

Density   3.4 Mg/m³
Electronic total energy   -280.52 eV for the cell shown
ΔE_f   -2.31 eV/atom
Relative energy among the computed polymorphs   5 meV/atom
Total moment   16.00 μB per formula unit